Record 1
Below is a relaxed structure of LiVB2O5, with properties calculated at the PBE with a Hubbard U level.

Values from the calculation:
- formation energy from the elements (eV per atom) = -2.66
- energy relative to the lowest polymorph listed for this composition (eV per formula unit) = 0.29

Lattice parameters (Å, degrees): 7.3311 7.3311 9.8292 69.63 69.63 90.88
Last column: nearest neighbours and their distance in Å.
Fractional positions:
B 0.2275 0.2389 0.5964  3 O 1.35-1.42
V 0.9590 0.6429 0.6505  4 O 1.91-1.95
B 0.7363 0.4018 0.9754  3 O 1.36-1.43
Li 0.6204 0.3796 0.2500  4 O 1.96-2.13
O 0.6657 0.2360 0.1095  1 B 1.37
Li 0.1600 0.8400 0.2500  4 O 2.08-2.15
O 0.1455 0.1755 0.2532  1 B 1.35
O 0.8143 0.4026 0.8279  1 B 1.36
Li 0.3796 0.6204 0.7500  4 O 1.96-2.13
B 0.4018 0.7363 0.4754  3 O 1.36-1.43
O 0.8245 0.8545 0.2468  1 B 1.35
O 0.3343 0.7640 0.8905  1 B 1.37
O 0.2961 0.0813 0.0411  1 B 1.37
V 0.0410 0.3571 0.3495  4 O 1.91-1.95
O 0.0813 0.2961 0.5411  1 B 1.37
O 0.7640 0.3343 0.3905  1 B 1.37
O 0.9187 0.7039 0.4589  1 B 1.37
O 0.2360 0.6657 0.6095  1 B 1.37
O 0.4252 0.2818 0.4887  2 B 1.42-1.43
O 0.7039 0.9187 0.9589  1 B 1.37
O 0.8545 0.8245 0.7468  1 B 1.35
O 0.1755 0.1455 0.7532  1 B 1.35
O 0.7182 0.5748 0.0113  2 B 1.42-1.43
O 0.2818 0.4252 0.9887  2 B 1.42-1.43
V 0.6429 0.9590 0.1505  4 O 1.91-1.95
B 0.2637 0.5982 0.0246  3 O 1.36-1.43
O 0.5974 0.1857 0.6721  1 B 1.36
B 0.7611 0.7725 0.9036  3 O 1.35-1.42
O 0.5748 0.7182 0.5113  2 B 1.42-1.43
Li 0.8400 0.1600 0.7500  4 O 2.08-2.15
B 0.5982 0.2637 0.5246  3 O 1.36-1.43
O 0.4026 0.8143 0.3279  1 B 1.36
O 0.1857 0.5974 0.1721  1 B 1.36
V 0.3571 0.0410 0.8495  4 O 1.91-1.95
B 0.7725 0.7611 0.4036  3 O 1.35-1.42
B 0.2389 0.2275 0.0964  3 O 1.35-1.42

***

Record 2
Below is a relaxed structure of Li2VBO4, with properties calculated at the PBE with a Hubbard U level.

Values from the calculation:
- formation energy from the elements (eV per atom) = -2.53
- energy relative to the lowest polymorph listed for this composition (eV per formula unit) = 0.15

Lattice parameters (Å, degrees): 4.7593 6.2391 10.3592 90.00 90.00 90.00
Last column: nearest neighbours and their distance in Å.
Fractional positions:
O 0.6633 0.5560 0.3428  1 B 1.50
O 0.1619 0.4559 0.1563  1 B 1.52
O 0.6706 0.7488 0.5480  1 B 1.50
V 0.2519 0.0127 0.3388  4 O 1.92-1.98
O 0.5794 0.2430 0.5962  1 B 1.49
V 0.7519 0.5127 0.1612  4 O 1.92-1.98
O 0.1619 0.0441 0.6563  1 B 1.52
O 0.1633 0.4440 0.6572  1 B 1.50
O 0.1633 0.0560 0.1572  1 B 1.50
B 0.2664 0.2542 0.0902  4 O 1.49-1.52
Li 0.2550 0.9981 0.8434  4 O 1.90-2.01
B 0.7664 0.7458 0.9098  4 O 1.49-1.52
Li 0.7550 0.0019 0.1566  4 O 1.90-2.01
Li 0.2546 0.7281 0.5722  3 O 1.94-2.03
O 0.5794 0.2570 0.0962  1 B 1.49
O 0.6619 0.9559 0.3437  1 B 1.52
O 0.1706 0.2488 0.9520  1 B 1.50
O 0.0794 0.7570 0.4038  1 B 1.49
Li 0.7550 0.4981 0.6566  4 O 1.90-2.01
B 0.2664 0.2458 0.5902  4 O 1.49-1.52
B 0.7664 0.7542 0.4098  4 O 1.49-1.52
O 0.1706 0.2512 0.4520  1 B 1.50
O 0.0794 0.7430 0.9038  1 B 1.49
O 0.6619 0.5441 0.8437  1 B 1.52
Li 0.7546 0.2719 0.4278  3 O 1.94-2.03
Li 0.2546 0.7719 0.0722  3 O 1.94-2.03
V 0.7519 0.9873 0.6612  4 O 1.92-1.98
V 0.2519 0.4873 0.8388  4 O 1.92-1.98
Li 0.2550 0.5019 0.3434  4 O 1.90-2.01
O 0.6633 0.9440 0.8428  1 B 1.50
O 0.6706 0.7512 0.0480  1 B 1.50
Li 0.7546 0.2281 0.9278  3 O 1.94-2.03

***

Record 3
Below is a relaxed structure of Li2VBO4, with properties calculated at the PBE with a Hubbard U level.

Values from the calculation:
- formation energy from the elements (eV per atom) = -2.51
- energy relative to the lowest polymorph listed for this composition (eV per formula unit) = 0.26

Lattice parameters (Å, degrees): 5.0332 5.0332 6.2170 90.00 90.00 92.95
Last column: nearest neighbours and their distance in Å.
Fractional positions:
O 0.8019 0.7996 0.3003  1 B 1.50
O 0.7996 0.8019 0.6997  1 B 1.50
Li 0.6768 0.6768 0.0000  4 O 1.98-2.06
O 0.2849 0.6161 0.9976  1 B 1.51
V 0.8134 0.1866 0.2500  4 O 1.91-1.97
O 0.1981 0.2004 0.8003  1 B 1.50
O 0.7151 0.3839 0.4976  1 B 1.51
Li 0.8043 0.1957 0.7500  4 O 1.90-2.01
Li 0.1957 0.8043 0.2500  4 O 1.90-2.01
Li 0.3232 0.3232 0.5000  4 O 1.98-2.06
O 0.6161 0.2849 0.0024  1 B 1.51
B 0.3205 0.3205 0.0000  4 O 1.50-1.51
V 0.1866 0.8134 0.7500  4 O 1.91-1.97
O 0.3839 0.7151 0.5024  1 B 1.51
B 0.6795 0.6795 0.5000  4 O 1.50-1.51
O 0.2004 0.1981 0.1997  1 B 1.50

***

Record 4
Below is a relaxed structure of Li3VB4O9, with properties calculated at the PBE with a Hubbard U level.

Values from the calculation:
- formation energy from the elements (eV per atom) = -2.68

Lattice parameters (Å, degrees): 8.7615 5.7835 6.7498 77.59 90.00 90.00
Last column: nearest neighbours and their distance in Å.
Fractional positions:
O 0.9212 0.5882 0.7865  1 B 1.38
B 0.7500 0.9809 0.2324  4 O 1.44-1.54
O 0.1076 0.8702 0.8427  2 B 1.40-1.54
Li 0.0658 0.7637 0.1645  3 O 1.98-2.16
O 0.7500 0.7618 0.1625  1 B 1.44
O 0.4212 0.4118 0.2135  1 B 1.38
B 0.4523 0.7247 0.7202  3 O 1.38-1.40
O 0.6133 0.2878 0.4629  2 B 1.38-1.52
O 0.8867 0.2878 0.4629  2 B 1.38-1.52
O 0.0788 0.4118 0.2135  1 B 1.38
O 0.1133 0.7122 0.5371  2 B 1.38-1.52
B 0.2500 0.0191 0.7676  4 O 1.44-1.54
Li 0.9342 0.2363 0.8355  3 O 1.98-2.16
B 0.2500 0.8672 0.4628  4 O 1.44-1.52
B 0.7500 0.1328 0.5372  4 O 1.44-1.52
B 0.9523 0.2753 0.2798  3 O 1.38-1.40
V 0.2500 0.2559 0.1153  4 O 1.90-1.95
Li 0.4342 0.7637 0.1645  3 O 1.98-2.16
B 0.0477 0.7247 0.7202  3 O 1.38-1.40
V 0.7500 0.7441 0.8847  4 O 1.90-1.95
O 0.7500 0.9237 0.4530  2 B 1.44-1.45
O 0.3924 0.8702 0.8427  2 B 1.40-1.54
O 0.2500 0.9202 0.2433  1 B 1.45
B 0.5477 0.2753 0.2798  3 O 1.38-1.40
Li 0.2500 0.4182 0.5241  4 O 1.95-2.15
Li 0.7500 0.5818 0.4759  4 O 1.95-2.15
O 0.3867 0.7122 0.5371  2 B 1.38-1.52
Li 0.5658 0.2363 0.8355  3 O 1.98-2.16
O 0.2500 0.0763 0.5470  2 B 1.44-1.45
O 0.2500 0.2382 0.8375  1 B 1.44
O 0.5788 0.5882 0.7865  1 B 1.38
O 0.8924 0.1298 0.1573  2 B 1.40-1.54
O 0.6076 0.1298 0.1573  2 B 1.40-1.54
O 0.7500 0.0798 0.7567  1 B 1.45

***

Record 5
Below is a relaxed structure of Li2VBO4, with properties calculated at the PBE with a Hubbard U level.

Values from the calculation:
- formation energy from the elements (eV per atom) = -2.52
- energy relative to the lowest polymorph listed for this composition (eV per formula unit) = 0.25

Lattice parameters (Å, degrees): 4.7182 5.8686 10.8945 90.00 90.00 90.00
Last column: nearest neighbours and their distance in Å.
Fractional positions:
V 0.4833 0.5000 0.5681  4 O 1.89-2.01
Li 0.9899 0.7457 0.1708  4 O 1.91-2.03
O 0.3198 0.5000 0.9094  1 B 1.49
O 0.8198 0.0000 0.5906  1 B 1.49
Li 0.9900 0.2543 0.6708  4 O 1.91-2.03
O 0.4069 0.0000 0.9552  1 B 1.52
O 0.3198 0.5000 0.4094  1 B 1.49
B 0.5040 0.0000 0.5887  4 O 1.49-1.52
Li 0.9900 0.7457 0.6708  4 O 1.91-2.03
O 0.8198 0.0000 0.0906  1 B 1.49
B 0.5041 0.0000 0.0886  4 O 1.49-1.52
Li 0.4899 0.7543 0.3292  4 O 1.91-2.03
O 0.9030 0.2887 0.8465  1 B 1.50
O 0.4031 0.2113 0.1534  1 B 1.50
Li 0.4900 0.2457 0.8292  4 O 1.91-2.03
Li 0.9899 0.2543 0.1708  4 O 1.91-2.03
O 0.4030 0.2113 0.6535  1 B 1.50
Li 0.4899 0.2457 0.3292  4 O 1.91-2.03
V 0.4832 0.5000 0.0680  4 O 1.89-2.02
O 0.9031 0.7113 0.3466  1 B 1.50
B 0.0041 0.5000 0.4114  4 O 1.49-1.52
B 0.0040 0.5000 0.9113  4 O 1.49-1.52
O 0.4070 0.0000 0.4553  1 B 1.52
Li 0.4900 0.7543 0.8292  4 O 1.91-2.03
O 0.9031 0.2887 0.3466  1 B 1.50
O 0.4031 0.7887 0.1534  1 B 1.50
V 0.9833 0.0000 0.9319  4 O 1.89-2.01
O 0.9069 0.5000 0.5448  1 B 1.52
O 0.9030 0.7114 0.8465  1 B 1.50
V 0.9832 0.0000 0.4319  4 O 1.89-2.02
O 0.4030 0.7886 0.6535  1 B 1.50
O 0.9070 0.5000 0.0447  1 B 1.52

***

Record 6
Below is a relaxed structure of LiVB2O5, with properties calculated at the PBE with a Hubbard U level.

Values from the calculation:
- formation energy from the elements (eV per atom) = -2.67
- energy relative to the lowest polymorph listed for this composition (eV per formula unit) = 0.19

Lattice parameters (Å, degrees): 10.8490 5.4805 12.0923 79.14 90.00 90.00
Last column: nearest neighbours and their distance in Å.
Fractional positions:
O 0.0474 0.1133 0.2211  1 B 1.38
O 0.8714 0.6063 0.4491  2 B 1.41-1.43
B 0.1303 0.6413 0.0044  3 O 1.36-1.43
O 0.1069 0.8198 0.0661  1 B 1.36
B 0.3723 0.7935 0.6668  3 O 1.37-1.41
O 0.3036 0.9353 0.2279  1 B 1.38
B 0.1188 0.3079 0.1682  3 O 1.38-1.39
B 0.1131 0.6536 0.5090  3 O 1.36-1.43
O 0.6096 0.1154 0.9479  2 B 1.39-1.43
O 0.3714 0.8937 0.5509  2 B 1.41-1.43
O 0.4526 0.6133 0.2211  1 B 1.38
O 0.8931 0.1802 0.9339  1 B 1.36
Li 0.8741 0.8656 0.0575  3 O 2.07-2.19
V 0.6240 0.7268 0.7610  6 O 1.96-2.15
O 0.1286 0.3937 0.5509  2 B 1.41-1.43
O 0.6788 0.8111 0.1010  1 B 1.36
B 0.8869 0.3464 0.4910  3 O 1.36-1.43
Li 0.3741 0.6344 0.9425  3 O 2.07-2.19
O 0.1788 0.6889 0.8990  1 B 1.36
O 0.4438 0.8921 0.7429  1 B 1.39
B 0.6277 0.2065 0.3332  3 O 1.37-1.41
O 0.7987 0.9092 0.2957  1 B 1.37
B 0.1277 0.2935 0.6668  3 O 1.37-1.41
O 0.5562 0.1079 0.2571  1 B 1.39
B 0.3869 0.1536 0.5090  3 O 1.36-1.43
O 0.6473 0.7536 0.5987  1 B 1.36
O 0.1964 0.4353 0.2279  1 B 1.38
V 0.3760 0.2732 0.2390  6 O 1.96-2.15
O 0.3904 0.8846 0.0521  2 B 1.39-1.43
O 0.0718 0.8071 0.5779  1 B 1.37
O 0.5474 0.3867 0.7789  1 B 1.38
Li 0.6259 0.3656 0.0575  3 O 2.07-2.19
Li 0.1259 0.1344 0.9425  3 O 2.07-2.19
O 0.8036 0.5647 0.7721  1 B 1.38
B 0.6188 0.1921 0.8318  3 O 1.38-1.39
O 0.5718 0.6929 0.4221  1 B 1.37
B 0.3812 0.8079 0.1682  3 O 1.38-1.39
O 0.3212 0.1889 0.8990  1 B 1.36
Li 0.6151 0.3746 0.5575  4 O 2.07-2.25
O 0.2987 0.5908 0.7043  1 B 1.37
V 0.8760 0.2268 0.7610  6 O 1.96-2.15
B 0.8723 0.7065 0.3332  3 O 1.37-1.41
O 0.0562 0.3921 0.7429  1 B 1.39
V 0.1240 0.7732 0.2390  6 O 1.96-2.15
O 0.3527 0.2464 0.4013  1 B 1.36
V 0.8742 0.2556 0.2584  6 O 1.96-2.14
O 0.8527 0.2536 0.5987  1 B 1.36
O 0.4282 0.3071 0.5779  1 B 1.37
B 0.8812 0.6921 0.8318  3 O 1.38-1.39
O 0.7013 0.4092 0.2957  1 B 1.37
O 0.6069 0.6802 0.9339  1 B 1.36
B 0.6303 0.8587 0.9956  3 O 1.36-1.43
O 0.1096 0.3846 0.0521  2 B 1.39-1.43
V 0.3742 0.2444 0.7416  6 O 1.96-2.14
B 0.8697 0.3587 0.9956  3 O 1.36-1.43
B 0.3697 0.1413 0.0044  3 O 1.36-1.43
O 0.3931 0.3198 0.0661  1 B 1.36
Li 0.8849 0.8746 0.5575  4 O 2.07-2.25
O 0.6964 0.0647 0.7721  1 B 1.38
O 0.1473 0.7464 0.4013  1 B 1.36
Li 0.1151 0.1254 0.4425  4 O 2.07-2.25
V 0.6258 0.7556 0.2584  6 O 1.96-2.14
Li 0.3849 0.6254 0.4425  4 O 2.07-2.25
O 0.9526 0.8867 0.7789  1 B 1.38
V 0.1258 0.7444 0.7416  6 O 1.96-2.14
O 0.2013 0.0908 0.7043  1 B 1.37
O 0.9438 0.6079 0.2571  1 B 1.39
O 0.8904 0.6154 0.9479  2 B 1.39-1.43
O 0.9282 0.1929 0.4221  1 B 1.37
O 0.8212 0.3111 0.1010  1 B 1.36
B 0.6131 0.8464 0.4910  3 O 1.36-1.43
O 0.6286 0.1063 0.4491  2 B 1.41-1.43

***

Record 7
Below is a relaxed structure of Li2VBO4, with properties calculated at the PBE with a Hubbard U level.

Values from the calculation:
- formation energy from the elements (eV per atom) = -2.53
- energy relative to the lowest polymorph listed for this composition (eV per formula unit) = 0.17

Lattice parameters (Å, degrees): 6.2483 5.1835 4.7503 89.95 89.99 89.97
Last column: nearest neighbours and their distance in Å.
Fractional positions:
Li 0.7464 0.6482 0.9908  4 O 1.94-2.12
O 0.7511 0.3083 0.8194  1 B 1.49
Li 0.2469 0.3519 0.4924  4 O 1.94-2.11
O 0.7424 0.5968 0.4095  1 B 1.50
O 0.5486 0.1860 0.4045  1 B 1.51
B 0.2477 0.6789 0.0061  4 O 1.49-1.51
O 0.0485 0.8140 0.9036  1 B 1.51
Li 0.4955 0.1902 0.9956  4 O 1.90-2.04
O 0.2429 0.4030 0.9106  1 B 1.50
V 0.5051 0.8242 0.4900  4 O 1.91-1.98
O 0.2508 0.6919 0.3195  1 B 1.49
B 0.7477 0.3210 0.5061  4 O 1.49-1.51
O 0.4484 0.8100 0.9002  1 B 1.51
O 0.9484 0.1901 0.4003  1 B 1.51
V 0.0057 0.1756 0.9904  4 O 1.91-1.98
Li 0.9948 0.8098 0.4943  4 O 1.90-2.04

***

Record 8
Below is a relaxed structure of Li2VBO4, with properties calculated at the PBE with a Hubbard U level.

Values from the calculation:
- formation energy from the elements (eV per atom) = -2.52
- energy relative to the lowest polymorph listed for this composition (eV per formula unit) = 0.20

Lattice parameters (Å, degrees): 4.9077 6.2184 10.2439 90.00 90.00 90.00
Last column: nearest neighbours and their distance in Å.
Fractional positions:
Li 0.3142 0.1161 0.6573  4 O 1.90-2.05
O 0.7673 0.3628 0.4475  1 B 1.50
Li 0.6955 0.8674 0.0772  4 O 1.94-2.12
O 0.2932 0.0658 0.3479  1 B 1.50
B 0.8235 0.3662 0.5911  4 O 1.50
O 0.7870 0.1662 0.1545  1 B 1.50
V 0.3186 0.6259 0.6641  4 O 1.91-1.95
Li 0.1955 0.3674 0.4228  4 O 1.94-2.12
Li 0.8045 0.8674 0.5772  4 O 1.94-2.12
Li 0.6858 0.6161 0.3427  4 O 1.90-2.05
O 0.6257 0.8717 0.8905  1 B 1.50
Li 0.3045 0.3674 0.9228  4 O 1.94-2.12
O 0.2673 0.8628 0.0525  1 B 1.50
V 0.1814 0.6259 0.1641  4 O 1.91-1.95
O 0.7932 0.5658 0.1521  1 B 1.50
O 0.3743 0.3717 0.1095  1 B 1.50
O 0.2870 0.6662 0.3455  1 B 1.50
B 0.1765 0.8662 0.4089  4 O 1.50
O 0.7130 0.1662 0.6545  1 B 1.50
O 0.2130 0.6662 0.8455  1 B 1.50
O 0.1257 0.3717 0.6095  1 B 1.50
O 0.2068 0.0658 0.8479  1 B 1.50
O 0.7327 0.3628 0.9475  1 B 1.50
O 0.7068 0.5658 0.6521  1 B 1.50
Li 0.1858 0.1161 0.1573  4 O 1.90-2.05
B 0.3235 0.8662 0.9089  4 O 1.50
V 0.6814 0.1259 0.3359  4 O 1.91-1.95
V 0.8186 0.1259 0.8359  4 O 1.91-1.95
Li 0.8142 0.6161 0.8427  4 O 1.90-2.05
B 0.6765 0.3662 0.0911  4 O 1.50
O 0.2327 0.8628 0.5525  1 B 1.50
O 0.8743 0.8717 0.3905  1 B 1.50